Record 1
GGA-PBE La3Co29Si4B10, optimized geometry; E_tot = -7.12 eV/atom; ΔE_f = -395 meV/atom
1.0
-6.8038 5.6544 -6.8780
-7.9113 -7.8108 1.4047
-2.8675 4.0069 6.1306
La Co B Si
6 58 20 8
Direct
0.2500 0.7500 0.0000
0.7500 0.2500 0.0000
0.0000 0.0000 0.5000
0.5000 0.5000 0.5000
0.2500 0.2500 0.0000
0.7500 0.7500 0.0000
0.5000 0.7752 0.5251
0.3383 0.3251 0.3373
0.1617 0.1749 0.6627
0.8361 0.5000 0.9719
0.8910 0.6090 0.6973
0.8251 0.8383 0.3373
0.1749 0.8383 0.3373
0.3383 0.6749 0.3373
0.3864 0.1136 0.7467
0.6749 0.3383 0.6627
0.1617 0.8251 0.6627
0.3361 0.0000 0.0281
0.6749 0.6617 0.6627
0.8383 0.8251 0.6627
0.8383 0.1749 0.6627
0.6090 0.1090 0.3027
0.5000 0.6101 0.1109
0.1136 0.3864 0.2533
0.0000 0.6639 0.9719
0.8864 0.3864 0.2533
0.1639 0.5000 0.9719
0.6617 0.3251 0.3373
0.3251 0.3383 0.6627
0.0000 0.7248 0.4749
0.8899 0.0000 0.1109
0.5000 0.0000 0.5316
0.0000 0.2752 0.4749
0.1101 0.0000 0.1109
0.1136 0.6136 0.2533
0.3910 0.1090 0.3027
0.2752 0.0000 0.5251
0.2248 0.5000 0.4749
0.6136 0.8864 0.7467
0.7248 0.0000 0.5251
0.8251 0.1617 0.3373
0.6136 0.1136 0.7467
0.3910 0.8910 0.3027
0.0000 0.8899 0.8891
0.5000 0.8361 0.0281
0.5000 0.2248 0.5251
0.3251 0.6617 0.6627
0.6101 0.5000 0.8891
0.0000 0.3361 0.9719
0.8864 0.6136 0.2533
0.5000 0.3899 0.1109
0.1090 0.3910 0.6973
0.8910 0.3910 0.6973
0.6617 0.6749 0.3373
0.3899 0.5000 0.8891
0.7752 0.5000 0.4749
0.3864 0.8864 0.7467
0.6090 0.8910 0.3027
0.0000 0.1101 0.8891
0.5000 0.1639 0.0281
0.0000 0.5000 0.4684
0.1749 0.1617 0.3373
0.1090 0.6090 0.6973
0.6639 0.0000 0.0281
0.1863 0.6863 0.4827
0.3137 0.1863 0.5173
0.0000 0.5000 0.1067
0.5000 0.0000 0.8933
0.7441 0.5000 0.7390
0.1863 0.3137 0.4827
0.5000 0.0000 0.1474
0.0000 0.7559 0.7390
0.0000 0.2441 0.7390
0.8137 0.6863 0.4827
0.2441 0.0000 0.2610
0.6863 0.1863 0.5173
0.7559 0.0000 0.2610
0.0000 0.5000 0.8526
0.2559 0.5000 0.7390
0.8137 0.3137 0.4827
0.5000 0.7441 0.2610
0.6863 0.8137 0.5173
0.3137 0.8137 0.5173
0.5000 0.2559 0.2610
0.3193 0.5000 0.1756
0.8193 0.0000 0.8244
0.5000 0.3193 0.8244
0.1807 0.0000 0.8244
0.5000 0.6807 0.8244
0.6807 0.5000 0.1756
0.0000 0.1807 0.1756
0.0000 0.8193 0.1756


Record 2
GGA-PBE Ho2Mg, optimized geometry; E_tot = -3.63 eV/atom; ΔE_f = -45 meV/atom
1.0
1.8158 -8.6360 0.0000
1.8158 8.6360 0.0000
0.0000 0.0000 5.4495
Ho Mg
4 2
Direct
0.9044 0.0956 0.7500
0.2260 0.7740 0.7500
0.7740 0.2260 0.2500
0.0956 0.9044 0.2500
0.5638 0.4362 0.7500
0.4362 0.5638 0.2500